P) The following is a DFT calculation (PBE) of an optimized crystal structure of Cr3N2.

abc: 3.0635 3.0635 12.2878
angles: 90.00 90.00 120.00
Atoms (fractional coordinates):
1 Cr 0.0000 0.0000 0.2500
2 Cr 0.0000 0.0000 0.7500
3 Cr 0.3333 0.6667 0.0772
4 Cr 0.3333 0.6667 0.4228
5 Cr 0.6667 0.3333 0.5772
6 Cr 0.6667 0.3333 0.9228
7 N 0.0000 0.0000 0.0000
8 N 0.0000 0.0000 0.5000
9 N 0.3333 0.6667 0.7500
10 N 0.6667 0.3333 0.2500

Values from the calculation:
The value obtained for the total magnetization is 3.664 Bohr magnetons per cell. Its space group is P6_3/mmc (194). For the calculated volume, the calculation gives 9.987 A^3/atom.

Q) The following is a DFT calculation (PBE) of an optimized crystal structure of Cr3N2.

abc: 7.4167 4.7760 5.1785
angles: 90.00 90.00 90.00
Atoms (fractional coordinates):
1 Cr 0.0000 0.0692 0.2500
2 Cr 0.0000 0.9308 0.7500
3 Cr 0.1645 0.3881 0.6027
4 Cr 0.1645 0.6119 0.1027
5 Cr 0.3355 0.1119 0.1027
6 Cr 0.3355 0.8881 0.6027
7 Cr 0.5000 0.4308 0.7500
8 Cr 0.5000 0.5692 0.2500
9 Cr 0.6645 0.1119 0.3973
10 Cr 0.6645 0.8881 0.8973
11 Cr 0.8355 0.3881 0.8973
12 Cr 0.8355 0.6119 0.3973
13 N 0.1078 0.2512 0.9530
14 N 0.1078 0.7488 0.4530
15 N 0.3922 0.2488 0.4530
16 N 0.3922 0.7512 0.9530
17 N 0.6078 0.2488 0.0470
18 N 0.6078 0.7512 0.5470
19 N 0.8922 0.2512 0.5470
20 N 0.8922 0.7488 0.0470

Values from the calculation:
The value obtained for the total magnetization is 3.772 Bohr magnetons per cell. Its space group is Pbcn (60). For the calculated volume, the calculation gives 9.172 A^3/atom.

Ordering by calculated energy gives the sequence Q), P), with the first entry being the most stable.

P) The following is a DFT calculation (PBE) of an optimized crystal structure of Cr4Se3N2.

abc: 6.5009 13.0809 3.3645
angles: 90.00 90.00 90.00
Atoms (fractional coordinates):
1 Cr 0.1854 0.0638 0.0000
2 Cr 0.2016 0.8578 0.5000
3 Cr 0.2984 0.3578 0.0000
4 Cr 0.3146 0.5638 0.5000
5 Cr 0.6854 0.4362 0.5000
6 Cr 0.7016 0.6422 0.0000
7 Cr 0.7984 0.1422 0.5000
8 Cr 0.8146 0.9362 0.0000
9 Se 0.0000 0.5000 0.0000
10 Se 0.1563 0.2184 0.5000
11 Se 0.3437 0.7184 0.0000
12 Se 0.5000 0.0000 0.5000
13 Se 0.6563 0.2816 0.0000
14 Se 0.8437 0.7816 0.5000
15 N 0.1161 0.9214 0.0000
16 N 0.3839 0.4214 0.5000
17 N 0.6161 0.5786 0.5000
18 N 0.8839 0.0786 0.0000

Values from the calculation:
The value obtained for the total magnetization is 23.294 Bohr magnetons per cell. Its space group is Pnnm (58). For the calculated volume, the calculation gives 15.895 A^3/atom.

Q) The following is a DFT calculation (PBE) of an optimized crystal structure of Cr4Se3N2.

abc: 6.0771 10.3988 9.2096
angles: 90.00 90.00 90.00
Atoms (fractional coordinates):
1 Cr 0.0794 0.2500 0.1331
2 Cr 0.2048 0.7500 0.0995
3 Cr 0.2089 0.0267 0.9274
4 Cr 0.2089 0.4733 0.9274
5 Cr 0.2911 0.5267 0.4274
6 Cr 0.2911 0.9733 0.4274
7 Cr 0.2952 0.2500 0.5995
8 Cr 0.4206 0.7500 0.6331
9 Cr 0.5794 0.2500 0.3669
10 Cr 0.7048 0.7500 0.4005
11 Cr 0.7089 0.0267 0.5726
12 Cr 0.7089 0.4733 0.5726
13 Cr 0.7911 0.5267 0.0726
14 Cr 0.7911 0.9733 0.0726
15 Cr 0.7952 0.2500 0.9005
16 Cr 0.9206 0.7500 0.8669
17 Se 0.0855 0.5703 0.6756
18 Se 0.0855 0.9297 0.6756
19 Se 0.1108 0.7500 0.3556
20 Se 0.3892 0.2500 0.8556
21 Se 0.4145 0.0703 0.1756
22 Se 0.4145 0.4297 0.1756
23 Se 0.5855 0.5703 0.8244
24 Se 0.5855 0.9297 0.8244
25 Se 0.6108 0.7500 0.1444
26 Se 0.8892 0.2500 0.6444
27 Se 0.9145 0.0703 0.3244
28 Se 0.9145 0.4297 0.3244
29 N 0.0536 0.6226 0.0048
30 N 0.0536 0.8774 0.0048
31 N 0.4464 0.1226 0.5048
32 N 0.4464 0.3774 0.5048
33 N 0.5536 0.6226 0.4952
34 N 0.5536 0.8774 0.4952
35 N 0.9464 0.1226 0.9952
36 N 0.9464 0.3774 0.9952

Values from the calculation:
The value obtained for the total magnetization is 47.995 Bohr magnetons per cell. Its space group is Pnma (62). For the calculated volume, the calculation gives 16.167 A^3/atom.

Ordering by calculated energy gives the sequence Q), P), with the first entry being the most stable.

P) The following is a DFT calculation (PBE) of an optimized crystal structure of Sr3Cr2N4.

abc: 5.8653 9.9232 9.6337
angles: 90.00 90.00 90.00
Atoms (fractional coordinates):
1 Sr 0.1197 0.1571 0.0822
2 Sr 0.1197 0.3429 0.4178
3 Sr 0.2500 0.0000 0.4027
4 Sr 0.2500 0.5000 0.0973
5 Sr 0.3803 0.6571 0.4178
6 Sr 0.3803 0.8429 0.0822
7 Sr 0.6197 0.1571 0.9178
8 Sr 0.6197 0.3429 0.5822
9 Sr 0.7500 0.0000 0.5973
10 Sr 0.7500 0.5000 0.9027
11 Sr 0.8803 0.6571 0.5822
12 Sr 0.8803 0.8429 0.9178
13 Cr 0.1571 0.2500 0.7500
14 Cr 0.2500 0.0000 0.7360
15 Cr 0.2500 0.5000 0.7640
16 Cr 0.3429 0.7500 0.7500
17 Cr 0.6571 0.2500 0.2500
18 Cr 0.7500 0.0000 0.2640
19 Cr 0.7500 0.5000 0.2360
20 Cr 0.8429 0.7500 0.2500
21 N 0.0217 0.0887 0.8333
22 N 0.0217 0.4113 0.6667
23 N 0.1438 0.6469 0.8676
24 N 0.1438 0.8531 0.6324
25 N 0.3562 0.1469 0.6324
26 N 0.3562 0.3531 0.8676
27 N 0.4783 0.5887 0.6667
28 N 0.4783 0.9113 0.8333
29 N 0.5217 0.0887 0.1667
30 N 0.5217 0.4113 0.3333
31 N 0.6438 0.6469 0.1325
32 N 0.6438 0.8531 0.3676
33 N 0.8562 0.1469 0.3676
34 N 0.8562 0.3531 0.1325
35 N 0.9783 0.5887 0.3333
36 N 0.9783 0.9113 0.1667

Values from the calculation:
The value obtained for the total magnetization is 0.056 Bohr magnetons per cell. Its space group is Pnna (52). For the calculated volume, the calculation gives 15.575 A^3/atom.

Q) The following is a DFT calculation (PBE) of an optimized crystal structure of Sr3Cr2N4.

abc: 7.1252 7.1252 5.6044
angles: 93.44 93.44 75.08
Atoms (fractional coordinates):
1 Sr 0.1020 0.8980 0.7500
2 Sr 0.2473 0.5071 0.4479
3 Sr 0.4929 0.7527 0.0521
4 Sr 0.5071 0.2473 0.9479
5 Sr 0.7527 0.4929 0.5521
6 Sr 0.8980 0.1020 0.2500
7 Cr 0.0819 0.3342 0.9224
8 Cr 0.3342 0.0819 0.4224
9 Cr 0.6658 0.9181 0.5776
10 Cr 0.9181 0.6658 0.0776
11 N 0.1321 0.2250 0.6134
12 N 0.1855 0.5552 0.9764
13 N 0.2250 0.1321 0.1134
14 N 0.4448 0.8145 0.5236
15 N 0.5552 0.1855 0.4764
16 N 0.7750 0.8679 0.8866
17 N 0.8145 0.4448 0.0236
18 N 0.8679 0.7750 0.3866

Values from the calculation:
The value obtained for the total magnetization is 3.311 Bohr magnetons per cell. Its space group is C2/c (15). For the calculated volume, the calculation gives 15.230 A^3/atom.

Ordering by calculated energy gives the sequence P), Q), with the first entry being the most stable.

P) The following is a DFT calculation (PBE) of an optimized crystal structure of NaCr2S4.

abc: 7.3492 7.3492 7.3492
angles: 60.00 60.00 60.00
Atoms (fractional coordinates):
1 Na 0.1250 0.1250 0.1250
2 Na 0.8750 0.8750 0.8750
3 Cr 0.0000 0.5000 0.5000
4 Cr 0.5000 0.0000 0.5000
5 Cr 0.5000 0.5000 0.0000
6 Cr 0.5000 0.5000 0.5000
7 S 0.2694 0.2694 0.2694
8 S 0.2694 0.2694 0.6919
9 S 0.2694 0.6919 0.2694
10 S 0.3081 0.7306 0.7306
11 S 0.6919 0.2694 0.2694
12 S 0.7306 0.3081 0.7306
13 S 0.7306 0.7306 0.3081
14 S 0.7306 0.7306 0.7306

Values from the calculation:
The value obtained for the total magnetization is 10.000 Bohr magnetons per cell. Its space group is Fd-3m (227). For the calculated volume, the calculation gives 20.048 A^3/atom.

Q) The following is a DFT calculation (PBE) of an optimized crystal structure of NaCr2S4.

abc: 7.0673 7.0673 7.0673
angles: 113.26 113.26 102.14
Atoms (fractional coordinates):
1 Na 0.3750 0.6250 0.7500
2 Na 0.6250 0.3750 0.2500
3 Cr 0.0000 0.0000 0.0000
4 Cr 0.0000 0.0000 0.5000
5 Cr 0.0000 0.5000 0.0000
6 Cr 0.5000 0.0000 0.5000
7 S 0.1765 0.7378 0.4387
8 S 0.2010 0.2622 0.9387
9 S 0.2622 0.2010 0.4387
10 S 0.2622 0.8235 0.0613
11 S 0.7378 0.1765 0.9387
12 S 0.7378 0.7990 0.5613
13 S 0.7990 0.7378 0.0613
14 S 0.8235 0.2622 0.5613

Values from the calculation:
The value obtained for the total magnetization is 10.000 Bohr magnetons per cell. Its space group is I4_1/amd (141). For the calculated volume, the calculation gives 19.175 A^3/atom.

R) The following is a DFT calculation (PBE) of an optimized crystal structure of NaCr2S4.

abc: 5.9034 3.4573 6.8373
angles: 90.00 90.10 90.00
Atoms (fractional coordinates):
1 Na 0.0000 0.0000 0.0000
2 Cr 0.0000 0.0000 0.5000
3 Cr 0.5000 0.5000 0.5000
4 S 0.1664 0.5000 0.6954
5 S 0.3342 0.0000 0.3065
6 S 0.6658 0.0000 0.6935
7 S 0.8336 0.5000 0.3046

Values from the calculation:
Its space group is P2/m (10). For the calculated volume, the calculation gives 19.935 A^3/atom.

S) The following is a DFT calculation (PBE) of an optimized crystal structure of NaCr2S4.

abc: 14.3824 3.3796 5.6320
angles: 90.00 108.09 90.00
Atoms (fractional coordinates):
1 Na 0.0000 0.0000 0.0000
2 Na 0.5000 0.5000 0.0000
3 Cr 0.2469 0.5000 0.7035
4 Cr 0.2531 0.0000 0.2965
5 Cr 0.7469 0.0000 0.7035
6 Cr 0.7531 0.5000 0.2965
7 S 0.1408 0.0000 0.5006
8 S 0.1631 0.5000 0.0158
9 S 0.3369 0.0000 0.9842
10 S 0.3592 0.5000 0.4994
11 S 0.6408 0.5000 0.5006
12 S 0.6631 0.0000 0.0158
13 S 0.8369 0.5000 0.9842
14 S 0.8592 0.0000 0.4994

Values from the calculation:
The value obtained for the total magnetization is 6.001 Bohr magnetons per cell. Its space group is C2/m (12). For the calculated volume, the calculation gives 18.587 A^3/atom.

Ordering by calculated energy gives the sequence R), S), P), Q), with the first entry being the most stable.

P) The following is a DFT calculation (PBE) of an optimized crystal structure of NaCr2S4.

abc: 10.9623 3.5308 12.7643
angles: 90.00 90.00 90.00
Atoms (fractional coordinates):
1 Na 0.2393 0.2500 0.1654
2 Na 0.2607 0.7500 0.6654
3 Na 0.7393 0.2500 0.3346
4 Na 0.7607 0.7500 0.8346
5 Cr 0.0589 0.2500 0.3869
6 Cr 0.0831 0.2500 0.8975
7 Cr 0.4169 0.7500 0.3975
8 Cr 0.4411 0.7500 0.8869
9 Cr 0.5589 0.2500 0.1131
10 Cr 0.5831 0.2500 0.6025
11 Cr 0.9169 0.7500 0.1025
12 Cr 0.9411 0.7500 0.6131
13 S 0.0279 0.7500 0.7851
14 S 0.0810 0.2500 0.5707
15 S 0.1151 0.7500 0.0201
16 S 0.2014 0.7500 0.3528
17 S 0.2986 0.2500 0.8528
18 S 0.3849 0.2500 0.5201
19 S 0.4190 0.7500 0.0707
20 S 0.4721 0.2500 0.2851
21 S 0.5279 0.7500 0.7149
22 S 0.5810 0.2500 0.9293
23 S 0.6151 0.7500 0.4799
24 S 0.7014 0.7500 0.1472
25 S 0.7986 0.2500 0.6472
26 S 0.8849 0.2500 0.9799
27 S 0.9190 0.7500 0.4293
28 S 0.9721 0.2500 0.2149

Values from the calculation:
The value obtained for the total magnetization is 20.003 Bohr magnetons per cell. Its space group is Pnma (62). For the calculated volume, the calculation gives 17.645 A^3/atom.

Q) The following is a DFT calculation (PBE) of an optimized crystal structure of NaCr2S4.

abc: 6.8882 14.0533 5.9223
angles: 90.00 90.00 90.00
Atoms (fractional coordinates):
1 Na 0.2500 0.2500 0.0266
2 Na 0.2500 0.7500 0.3233
3 Na 0.7500 0.2500 0.6767
4 Na 0.7500 0.7500 0.9734
5 Cr 0.0000 0.0000 0.5000
6 Cr 0.0000 0.5000 0.5000
7 Cr 0.2500 0.5030 0.9863
8 Cr 0.2500 0.9970 0.9863
9 Cr 0.5000 0.0000 0.5000
10 Cr 0.5000 0.5000 0.5000
11 Cr 0.7500 0.0030 0.0137
12 Cr 0.7500 0.4970 0.0137
13 S 0.0000 0.0957 0.8357
14 S 0.0000 0.4043 0.8357
15 S 0.0000 0.5957 0.1643
16 S 0.0000 0.9043 0.1643
17 S 0.2500 0.0918 0.3299
18 S 0.2500 0.4082 0.3299
19 S 0.2500 0.5972 0.6621
20 S 0.2500 0.9028 0.6621
21 S 0.5000 0.0957 0.8357
22 S 0.5000 0.4043 0.8357
23 S 0.5000 0.5957 0.1643
24 S 0.5000 0.9043 0.1643
25 S 0.7500 0.0972 0.3379
26 S 0.7500 0.4028 0.3379
27 S 0.7500 0.5918 0.6701
28 S 0.7500 0.9082 0.6701

Values from the calculation:
Its space group is Pmmn (59). For the calculated volume, the calculation gives 20.475 A^3/atom.

R) The following is a DFT calculation (PBE) of an optimized crystal structure of NaCr2S4.

abc: 11.5890 7.2636 12.0572
angles: 90.00 90.00 90.00
Atoms (fractional coordinates):
1 Na 0.0856 0.1164 0.0000
2 Na 0.1168 0.6238 0.6595
3 Na 0.3832 0.6238 0.1595
4 Na 0.4144 0.1164 0.5000
5 Na 0.5856 0.8836 0.0000
6 Na 0.6168 0.3762 0.6595
7 Na 0.8832 0.3762 0.1595
8 Na 0.9144 0.8836 0.5000
9 Cr 0.1193 0.6303 0.0249
10 Cr 0.1302 0.3903 0.3237
11 Cr 0.1347 0.1490 0.6555
12 Cr 0.1544 0.8818 0.2692
13 Cr 0.3456 0.8818 0.7692
14 Cr 0.3653 0.1490 0.1555
15 Cr 0.3698 0.3903 0.8237
16 Cr 0.3807 0.6303 0.5249
17 Cr 0.6193 0.3697 0.0249
18 Cr 0.6302 0.6097 0.3237
19 Cr 0.6347 0.8510 0.6555
20 Cr 0.6544 0.1182 0.2692
21 Cr 0.8456 0.1182 0.7692
22 Cr 0.8653 0.8510 0.1555
23 Cr 0.8698 0.6097 0.8237
24 Cr 0.8807 0.3697 0.5249
25 S 0.0007 0.0637 0.2289
26 S 0.0127 0.5631 0.4481
27 S 0.0293 0.6458 0.2077
28 S 0.0475 0.1883 0.4779
29 S 0.2081 0.3757 0.1332
30 S 0.2375 0.1370 0.8283
31 S 0.2394 0.8923 0.1011
32 S 0.2418 0.6448 0.8642
33 S 0.2582 0.6448 0.3641
34 S 0.2606 0.8923 0.6011
35 S 0.2625 0.1370 0.3283
36 S 0.2919 0.3757 0.6332
37 S 0.4525 0.1883 0.9779
38 S 0.4707 0.6458 0.7077
39 S 0.4873 0.5631 0.9481
40 S 0.4993 0.0637 0.7289
41 S 0.5007 0.9363 0.2289
42 S 0.5127 0.4369 0.4481
43 S 0.5293 0.3542 0.2077
44 S 0.5475 0.8117 0.4779
45 S 0.7081 0.6243 0.1332
46 S 0.7375 0.8630 0.8283
47 S 0.7394 0.1077 0.1011
48 S 0.7418 0.3552 0.8642
49 S 0.7582 0.3552 0.3641
50 S 0.7606 0.1077 0.6011
51 S 0.7625 0.8630 0.3283
52 S 0.7919 0.6243 0.6332
53 S 0.9525 0.8117 0.9779
54 S 0.9707 0.3542 0.7077
55 S 0.9873 0.4369 0.9481
56 S 0.9993 0.9363 0.7289

Values from the calculation:
The value obtained for the total magnetization is 40.001 Bohr magnetons per cell. Its space group is Pca2_1 (29). For the calculated volume, the calculation gives 18.124 A^3/atom.

S) The following is a DFT calculation (PBE) of an optimized crystal structure of NaCr2S4.

abc: 11.5244 3.5245 12.2705
angles: 90.00 90.00 90.00
Atoms (fractional coordinates):
1 Na 0.1352 0.2500 0.0871
2 Na 0.3648 0.7500 0.5871
3 Na 0.6352 0.2500 0.4129
4 Na 0.8648 0.7500 0.9129
5 Cr 0.1033 0.7500 0.4203
6 Cr 0.1518 0.7500 0.7951
7 Cr 0.3482 0.2500 0.2951
8 Cr 0.3967 0.2500 0.9203
9 Cr 0.6033 0.7500 0.0797
10 Cr 0.6518 0.7500 0.7049
11 Cr 0.8482 0.2500 0.2049
12 Cr 0.8967 0.2500 0.5797
13 S 0.0349 0.7500 0.6162
14 S 0.0441 0.2500 0.8647
15 S 0.2120 0.7500 0.2532
16 S 0.2340 0.2500 0.4606
17 S 0.2660 0.7500 0.9606
18 S 0.2880 0.2500 0.7532
19 S 0.4559 0.7500 0.3647
20 S 0.4651 0.2500 0.1162
21 S 0.5349 0.7500 0.8838
22 S 0.5441 0.2500 0.6353
23 S 0.7120 0.7500 0.2468
24 S 0.7340 0.2500 0.0394
25 S 0.7660 0.7500 0.5394
26 S 0.7880 0.2500 0.7468
27 S 0.9559 0.7500 0.1353
28 S 0.9651 0.2500 0.3838

Values from the calculation:
The value obtained for the total magnetization is 20.000 Bohr magnetons per cell. Its space group is Pnma (62). For the calculated volume, the calculation gives 17.800 A^3/atom.

Ordering by calculated energy gives the sequence Q), P), S), R), with the first entry being the most stable.